## NaIn2Ga2PS5O24 (PBE)

Data for a relaxed structure of NaIn2Ga2PS5O24.

Calculated values
- E_form (eV per atom) = -2.0348
- total moment (μB per formula unit) = 0.0

a b c (Å): 8.651 8.651 22.820
angles (deg): 89.89 89.74 60.23
Fractional coordinates of all 105 atoms:
Na: 0.000 0.000 0.000
Na: 0.019 0.000 0.503
Na: 0.344 0.342 0.841
In: 0.005 0.997 0.857
In: 0.019 0.997 0.649
In: 0.344 0.339 0.988
In: 0.346 0.326 0.683
In: 0.684 0.659 0.821
In: 0.686 0.658 0.025
Ga: 0.010 0.999 0.158
Ga: 0.011 0.998 0.353
Ga: 0.342 0.326 0.484
Ga: 0.346 0.331 0.192
Ga: 0.672 0.672 0.521
Ga: 0.678 0.664 0.319
P: 0.352 0.034 0.580
P: 0.678 0.367 0.922
P: 0.977 0.664 0.922
S: 0.011 0.707 0.255
S: 0.014 0.295 0.753
S: 0.047 0.622 0.580
S: 0.059 0.320 0.094
S: 0.304 0.997 0.255
S: 0.311 0.697 0.753
S: 0.335 0.633 0.095
S: 0.382 0.962 0.922
S: 0.386 0.664 0.420
S: 0.635 0.339 0.580
S: 0.642 0.043 0.094
S: 0.681 0.954 0.419
S: 0.712 0.000 0.752
S: 0.720 0.290 0.255
S: 0.966 0.376 0.420
O: 0.006 0.826 0.920
O: 0.023 0.804 0.584
O: 0.041 0.158 0.102
O: 0.041 0.186 0.806
O: 0.050 0.786 0.307
O: 0.117 0.526 0.636
O: 0.143 0.360 0.428
O: 0.149 0.345 0.145
O: 0.157 0.490 0.925
O: 0.164 0.284 0.040
O: 0.169 0.530 0.245
O: 0.170 0.536 0.530
O: 0.173 0.811 0.103
O: 0.175 0.314 0.750
O: 0.182 0.015 0.584
O: 0.185 0.037 0.308
O: 0.202 0.778 0.806
O: 0.204 0.979 0.918
O: 0.206 0.827 0.412
O: 0.225 0.958 0.203
O: 0.228 0.799 0.699
O: 0.297 0.565 0.040
O: 0.316 0.160 0.527
O: 0.322 0.156 0.245
O: 0.329 0.517 0.748
O: 0.362 0.516 0.145
O: 0.365 0.140 0.926
O: 0.367 0.505 0.429
O: 0.382 0.105 0.638
O: 0.463 0.858 0.976
O: 0.465 0.702 0.471
O: 0.481 0.838 0.265
O: 0.483 0.883 0.868
O: 0.486 0.683 0.758
O: 0.493 0.653 0.089
O: 0.498 0.632 0.366
O: 0.516 0.338 0.925
O: 0.518 0.851 0.571
O: 0.525 0.132 0.428
O: 0.528 0.132 0.145
O: 0.534 0.163 0.748
O: 0.535 0.373 0.636
O: 0.543 0.308 0.245
O: 0.545 0.311 0.530
O: 0.572 0.148 0.039
O: 0.648 0.474 0.866
O: 0.649 0.874 0.366
O: 0.657 0.866 0.088
O: 0.659 0.494 0.571
O: 0.692 0.842 0.757
O: 0.694 0.451 0.979
O: 0.704 0.467 0.265
O: 0.720 0.838 0.471
O: 0.792 0.027 0.805
O: 0.799 0.172 0.307
O: 0.812 0.175 0.585
O: 0.817 0.980 0.698
O: 0.822 0.024 0.101
O: 0.838 0.212 0.203
O: 0.845 0.972 0.411
O: 0.850 0.455 0.472
O: 0.851 0.186 0.919
O: 0.851 0.689 0.265
O: 0.854 0.470 0.757
O: 0.868 0.694 0.979
O: 0.874 0.632 0.571
O: 0.882 0.479 0.090
O: 0.886 0.487 0.366
O: 0.895 0.647 0.865
O: 0.972 0.824 0.203
O: 0.985 0.194 0.412
O: 0.996 0.211 0.699